A relaxed structure of TlS, computed with GGA-PBE.

Output
VASP energy = -3.477 eV/atom

Cell lengths 8.0272, 8.0272, 29.9919 Å; angles 90.00, 90.00, 90.00 degrees
Closest atoms and distances in Å follow each position.
Fractional coordinates of all 64 atoms:
Tl 0.0812 0.1281 0.4326  7 S 3.22-3.59
Tl 0.0898 0.6261 0.4362  7 S 3.27-3.60
Tl 0.1218 0.1293 0.7028  4 S 2.56-2.63
Tl 0.1254 0.6267 0.3026  4 S 2.54-2.61
Tl 0.1261 0.4102 0.1862  7 S 3.27-3.60
Tl 0.1267 0.3746 0.0526  4 S 2.54-2.61
Tl 0.1281 0.0812 0.5674  7 S 3.22-3.59
Tl 0.1293 0.1218 0.2972  4 S 2.56-2.63
Tl 0.3707 0.6218 0.9528  4 S 2.56-2.63
Tl 0.3719 0.5812 0.6826  7 S 3.22-3.59
Tl 0.3733 0.8746 0.1974  4 S 2.54-2.61
Tl 0.3739 0.9102 0.0638  7 S 3.27-3.60
Tl 0.3746 0.1267 0.9474  4 S 2.54-2.61
Tl 0.3782 0.6293 0.5472  4 S 2.56-2.63
Tl 0.4102 0.1261 0.8138  7 S 3.27-3.60
Tl 0.4188 0.6281 0.8174  7 S 3.22-3.59
Tl 0.5812 0.3719 0.3174  7 S 3.22-3.59
Tl 0.5898 0.8739 0.3138  7 S 3.27-3.60
Tl 0.6218 0.3707 0.0472  4 S 2.56-2.63
Tl 0.6254 0.8733 0.4474  4 S 2.54-2.61
Tl 0.6261 0.0898 0.5638  7 S 3.27-3.60
Tl 0.6267 0.1254 0.6974  4 S 2.54-2.61
Tl 0.6281 0.4188 0.1826  7 S 3.22-3.59
Tl 0.6293 0.3782 0.4528  4 S 2.56-2.63
Tl 0.8707 0.8782 0.7972  4 S 2.56-2.63
Tl 0.8719 0.9188 0.0674  7 S 3.22-3.59
Tl 0.8733 0.6254 0.5526  4 S 2.54-2.61
Tl 0.8739 0.5898 0.6862  7 S 3.27-3.60
Tl 0.8746 0.3733 0.8026  4 S 2.54-2.61
Tl 0.8782 0.8707 0.2028  4 S 2.56-2.63
Tl 0.9102 0.3739 0.9362  7 S 3.27-3.60
Tl 0.9188 0.8719 0.9326  7 S 3.22-3.59
S 0.1151 0.1151 0.0000  2 Tl 2.61
S 0.1162 0.6420 0.0075  2 Tl 2.54-2.63
S 0.1193 0.8162 0.1481  2 Tl 2.56-2.57
S 0.1318 0.6871 0.6004  2 Tl 2.57-2.58
S 0.1355 0.8645 0.7500  2 Tl 2.56
S 0.1420 0.3838 0.7575  2 Tl 2.54-2.63
S 0.1838 0.8807 0.3519  2 Tl 2.56-2.57
S 0.1871 0.3682 0.3504  2 Tl 2.57-2.58
S 0.3129 0.8682 0.8996  2 Tl 2.57-2.58
S 0.3162 0.3807 0.8981  2 Tl 2.56-2.57
S 0.3580 0.8838 0.4925  2 Tl 2.54-2.63
S 0.3645 0.3645 0.5000  2 Tl 2.56
S 0.3682 0.1871 0.6496  2 Tl 2.57-2.58
S 0.3807 0.3162 0.1019  2 Tl 2.56-2.57
S 0.3838 0.1420 0.2425  2 Tl 2.54-2.63
S 0.3849 0.6151 0.2500  2 Tl 2.61
S 0.6151 0.3849 0.7500  2 Tl 2.61
S 0.6162 0.8580 0.7425  2 Tl 2.54-2.63
S 0.6193 0.6838 0.6019  2 Tl 2.56-2.57
S 0.6318 0.8129 0.1496  2 Tl 2.57-2.58
S 0.6355 0.6355 0.0000  2 Tl 2.56
S 0.6420 0.1162 0.9925  2 Tl 2.54-2.63
S 0.6838 0.6193 0.3981  2 Tl 2.56-2.57
S 0.6871 0.1318 0.3996  2 Tl 2.57-2.58
S 0.8129 0.6318 0.8504  2 Tl 2.57-2.58
S 0.8162 0.1193 0.8519  2 Tl 2.56-2.57
S 0.8580 0.6162 0.2575  2 Tl 2.54-2.63
S 0.8645 0.1355 0.2500  2 Tl 2.56
S 0.8682 0.3129 0.1004  2 Tl 2.57-2.58
S 0.8807 0.1838 0.6481  2 Tl 2.56-2.57
S 0.8838 0.3580 0.5075  2 Tl 2.54-2.63
S 0.8849 0.8849 0.5000  2 Tl 2.61


A relaxed structure of TlS, computed with GGA-PBE.

Output
VASP energy = -3.443 eV/atom

Cell lengths 7.6674, 7.6674, 7.6674 Å; angles 30.67, 30.67, 30.67 degrees
Closest atoms and distances in Å follow each position.
Fractional coordinates of all 4 atoms:
Tl 0.0000 0.0000 0.0000  6 S 3.17
Tl 0.5000 0.5000 0.5000  6 S 2.78
S 0.2355 0.2355 0.2355  3 Tl 2.78
S 0.7645 0.7645 0.7645  3 Tl 2.78


A relaxed structure of TlS, computed with GGA-PBE.

Output
VASP energy = -3.197 eV/atom

Cell lengths 3.5956, 3.5956, 3.5956 Å; angles 90.00, 90.00, 90.00 degrees
Closest atoms and distances in Å follow each position.
Fractional coordinates of all 2 atoms:
Tl 0.0000 0.0000 0.0000  8 S 3.11
S 0.5000 0.5000 0.5000  8 Tl 3.11


A relaxed structure of TmTlS2, computed with GGA-PBE.

Output
VASP energy = -5.263 eV/atom

Cell lengths 7.8655, 7.8655, 7.8655 Å; angles 29.34, 29.34, 29.34 degrees
Closest atoms and distances in Å follow each position.
Fractional coordinates of all 4 atoms:
Tm 0.0000 0.0000 0.0000  6 S 2.73
Tl 0.5000 0.5000 0.5000  6 S 3.25
S 0.2685 0.2685 0.2685  3 Tm 2.73
S 0.7315 0.7315 0.7315  3 Tm 2.73


A relaxed structure of TlV6S8, computed with GGA-PBE.

Output
VASP energy = -6.936 eV/atom

Cell lengths 9.2353, 9.2353, 3.2394 Å; angles 90.00, 90.00, 120.00 degrees
Closest atoms and distances in Å follow each position.
Fractional coordinates of all 15 atoms:
Tl 0.0000 0.0000 0.0000  6 S 3.12, 2 Tl 3.24
V 0.1159 0.6261 0.7519  6 S 2.32-2.58
V 0.3739 0.4897 0.7519  6 S 2.32-2.58
V 0.4897 0.1159 0.2481  6 S 2.32-2.58
V 0.5103 0.8841 0.7519  6 S 2.32-2.58
V 0.6261 0.5103 0.2481  6 S 2.32-2.58
V 0.8841 0.3739 0.2481  6 S 2.32-2.58
S 0.0522 0.3488 0.7465  4 V 2.32-2.58
S 0.2966 0.9478 0.7465  4 V 2.32-2.58
S 0.3333 0.6667 0.2512  6 V 2.46
S 0.3488 0.2966 0.2535  4 V 2.32-2.58
S 0.6512 0.7034 0.7465  4 V 2.32-2.58
S 0.6667 0.3333 0.7488  6 V 2.46
S 0.7034 0.0522 0.2535  4 V 2.32-2.58
S 0.9478 0.6512 0.2535  4 V 2.32-2.58


A relaxed structure of Tl3V24S32, computed with GGA-PBE.

Output
VASP energy = -6.721 eV/atom
Distance to the lowest polymorph of the same formula = 0 meV per atom

Cell lengths 9.1237, 9.2690, 13.8722 Å; angles 71.05, 76.49, 88.38 degrees
Closest atoms and distances in Å follow each position.
Fractional coordinates of all 59 atoms:
Tl 0.0000 0.0000 0.0000  6 S 2.94-3.27
Tl 0.2959 0.1571 0.3414  3 S 2.85-2.97, 1 V 3.12
Tl 0.6667 0.5915 0.6747  3 S 2.82-3.14, 1 V 2.94
V 0.0283 0.9380 0.3625  3 S 2.26-2.44
V 0.0390 0.4449 0.5092  6 S 2.37-2.53
V 0.0900 0.9657 0.6790  4 S 2.21-2.48
V 0.1312 0.6087 0.6359  6 S 2.39-2.66, 1 V 2.43
V 0.1951 0.4004 0.1073  6 S 2.42-2.64
V 0.2154 0.7070 0.1707  5 S 2.31-2.58
V 0.2359 0.2871 0.6336  6 S 2.37-2.63
V 0.2437 0.7961 0.8679  5 S 2.29-2.51
V 0.3082 0.3275 0.9163  5 S 2.26-2.44
V 0.4050 0.6308 0.5799  4 S 2.29-2.34, 1 V 2.43
V 0.4561 0.6457 0.3107  6 S 2.34-2.59
V 0.4602 0.9666 0.0915  5 S 2.25-2.47
V 0.5399 0.9601 0.4878  5 S 2.32-2.46
V 0.5547 0.4620 0.0111  5 S 2.32-2.47, 1 V 2.53
V 0.5891 0.9614 0.8625  6 S 2.34-2.56
V 0.6303 0.5772 0.1360  5 S 2.29-2.43, 1 V 2.53
V 0.6481 0.2264 0.6573  4 S 2.25-2.48, 1 V 2.30
V 0.6510 0.9890 0.6382  4 S 2.18-2.38, 1 V 2.30
V 0.7136 0.2214 0.4275  5 S 2.28-2.55
V 0.7571 0.2278 0.8087  5 S 2.25-2.44
V 0.8292 0.6516 0.3982  5 S 2.37-2.48, 1 V 2.53
V 0.8501 0.1550 0.2050  4 S 2.22-2.35
V 0.8765 0.6793 0.2059  5 S 2.31-2.50, 1 V 2.53
V 0.8781 0.5455 0.9562  5 S 2.35-2.62
S 0.0043 0.2353 0.2812  1 V 2.22
S 0.0453 0.5498 0.3152  4 V 2.31-2.53
S 0.0490 0.6329 0.0651  3 V 2.35-2.58
S 0.0537 0.3175 0.0018  2 V 2.34-2.46
S 0.0555 0.7007 0.7933  4 V 2.43-2.54
S 0.1119 0.1885 0.5347  3 V 2.34-2.38
S 0.1972 0.0531 0.7782  3 V 2.21-2.40
S 0.2817 0.8581 0.2642  4 V 2.37-2.61
S 0.2855 0.8612 0.5667  4 V 2.34-2.55
S 0.2949 0.4459 0.7343  4 V 2.29-2.48
S 0.2972 0.5155 0.4844  4 V 2.33-2.44
S 0.3386 0.8743 0.9989  3 V 2.25-2.49
S 0.3485 0.5526 0.9392  4 V 2.26-2.42
S 0.3757 0.5068 0.1951  2 V 2.31-2.32
S 0.3951 0.2234 0.0739  4 V 2.39-2.48
S 0.4847 0.1670 0.5604  5 V 2.38-2.63
S 0.4848 0.8298 0.7651  3 V 2.18-2.44
S 0.4993 0.2078 0.8181  4 V 2.28-2.43
S 0.5830 0.7509 0.4228  4 V 2.34-2.57
S 0.6129 0.1281 0.3179  3 V 2.32-2.34
S 0.6391 0.8056 0.1717  4 V 2.33-2.50
S 0.6734 0.7101 0.9578  4 V 2.32-2.48
S 0.6804 0.4896 0.3100  4 V 2.39-2.55
S 0.6920 0.0622 0.9733  3 V 2.25-2.40
S 0.7359 0.3634 0.1080  4 V 2.29-2.35
S 0.7363 0.4383 0.8693  3 V 2.32-2.39
S 0.7869 0.3927 0.5080  4 V 2.25-2.40
S 0.8087 0.9875 0.4850  4 V 2.28-2.46
S 0.8244 0.0358 0.7282  5 V 2.36-2.49
S 0.9023 0.8944 0.2513  4 V 2.26-2.48
S 0.9732 0.7034 0.5079  4 V 2.39-2.47
S 0.9898 0.3700 0.6970  4 V 2.39-2.44


A relaxed structure of Tl3V24S32, computed with GGA-PBE.

Output
VASP energy = -6.699 eV/atom
Distance to the lowest polymorph of the same formula = 22 meV per atom

Cell lengths 9.2027, 9.2364, 13.7103 Å; angles 105.92, 103.31, 90.83 degrees
Closest atoms and distances in Å follow each position.
Fractional coordinates of all 59 atoms:
Tl 0.0000 0.0000 0.0000  5 S 2.88-3.20, 1 V 3.16
Tl 0.2548 0.1735 0.6747  5 S 2.97-3.30
Tl 0.5953 0.5878 0.3475  2 S 2.79-2.91, 1 V 2.91
V 0.0120 0.3834 0.5495  5 S 2.26-2.49
V 0.0385 0.9178 0.3162  6 S 2.36-2.61
V 0.0668 0.4711 0.8611  5 S 2.31-2.57
V 0.0900 0.7777 0.7821  6 S 2.44-2.67
V 0.1303 0.5799 0.3259  6 S 2.35-2.59, 1 V 2.41
V 0.1994 0.2480 0.3423  5 S 2.37-2.51
V 0.2364 0.7533 0.1976  5 S 2.36-2.48
V 0.2457 0.2731 0.0638  3 S 2.36-2.42
V 0.3938 0.6340 0.6389  6 S 2.37-2.64
V 0.4193 0.4951 0.8725  4 S 2.33-2.43, 1 V 2.36
V 0.4562 0.0390 0.8763  4 S 2.24-2.47
V 0.4698 0.5434 0.0557  5 S 2.31-2.49, 1 V 2.36
V 0.5033 0.9642 0.4989  5 S 2.26-2.43, 1 V 2.50
V 0.5629 0.9580 0.0965  4 S 2.27-2.45
V 0.5922 0.9564 0.3387  4 S 2.27-2.50, 2 V 2.30-2.50
V 0.6185 0.1892 0.3123  4 S 2.20-2.38, 1 V 2.30
V 0.6577 0.6083 0.8146  5 S 2.31-2.41
V 0.6812 0.2252 0.5470  6 S 2.37-2.58
V 0.7112 0.7242 0.6737  5 S 2.29-2.49
V 0.7338 0.2161 0.1635  5 S 2.30-2.45, 1 V 2.57
V 0.8127 0.2087 0.7795  5 S 2.25-2.49
V 0.8174 0.5363 0.9980  6 S 2.34-2.57
V 0.8609 0.5450 0.2649  4 S 2.29-2.37, 1 V 2.41
V 0.9577 0.8498 0.5874  5 S 2.27-2.48
S 0.0877 0.1471 0.4518  3 V 2.36-2.43
S 0.1627 0.0028 0.2073  3 V 2.36-2.46
S 0.2059 0.4875 0.4808  4 V 2.46-2.49
S 0.2149 0.8486 0.6608  3 V 2.35-2.59
S 0.2249 0.5486 0.7486  3 V 2.33-2.57
S 0.2301 0.6161 0.0137  3 V 2.31-2.48
S 0.2759 0.8225 0.3814  4 V 2.36-2.44
S 0.2970 0.4466 0.2344  2 V 2.35-2.38
S 0.2976 0.9237 0.9389  1 V 2.24
S 0.3652 0.2916 0.9322  4 V 2.34-2.49
S 0.4473 0.1581 0.4132  5 V 2.38-2.51
S 0.4684 0.1830 0.1543  4 V 2.27-2.43
S 0.4876 0.7824 0.1845  4 V 2.27-2.45
S 0.5212 0.7313 0.5349  3 V 2.29-2.38
S 0.5503 0.8193 0.7811  4 V 2.31-2.39
S 0.5776 0.1165 0.6641  3 V 2.26-2.46
S 0.6002 0.4757 0.6386  4 V 2.32-2.52
S 0.6046 0.6983 0.9842  5 V 2.41-2.56
S 0.6450 0.3779 0.8537  4 V 2.34-2.40
S 0.6856 0.0609 0.9950  3 V 2.30-2.35
S 0.6886 0.4312 0.1072  4 V 2.33-2.48
S 0.7575 0.9777 0.4967  4 V 2.30-2.48
S 0.7791 0.0094 0.2443  5 V 2.38-2.61
S 0.7825 0.3518 0.4395  3 V 2.20-2.44
S 0.8902 0.9542 0.7489  4 V 2.39-2.52
S 0.9133 0.6675 0.8793  3 V 2.31-2.57
S 0.9212 0.6257 0.6196  4 V 2.27-2.44
S 0.9324 0.3085 0.6846  3 V 2.25-2.49
S 0.9627 0.7428 0.4092  4 V 2.29-2.50
S 0.9765 0.3218 0.2477  4 V 2.31-2.58
S 0.9801 0.6716 0.1724  5 V 2.37-2.59
S 0.9818 0.3233 0.9561  3 V 2.36-2.52


A relaxed structure of Tl3V24S32, computed with GGA-PBE.

Output
VASP energy = -6.675 eV/atom
Distance to the lowest polymorph of the same formula = 47 meV per atom

Cell lengths 9.1808, 9.4156, 12.0531 Å; angles 92.65, 96.14, 97.65 degrees
Closest atoms and distances in Å follow each position.
Fractional coordinates of all 59 atoms:
Tl 0.0000 0.0000 0.0000  8 S 2.99-3.34
Tl 0.2320 0.2704 0.7469  7 S 2.92-3.26, 2 V 3.18-3.23
Tl 0.6444 0.6529 0.3822  4 S 2.86-3.18, 1 V 3.13
V 0.0246 0.6497 0.3140  5 S 2.38-2.53
V 0.0655 0.0244 0.5579  6 S 2.36-2.55, 1 V 2.57
V 0.0879 0.5661 0.5696  5 S 2.31-2.47
V 0.0918 0.0831 0.3370  5 S 2.32-2.41
V 0.2187 0.8298 0.7973  5 S 2.37-2.59
V 0.2258 0.5626 0.8893  5 S 2.35-2.42
V 0.2764 0.3678 0.3197  5 S 2.37-2.63
V 0.3272 0.9557 0.1405  5 S 2.37-2.51
V 0.3456 0.7336 0.2696  5 S 2.32-2.46
V 0.3594 0.3116 0.0774  5 S 2.31-2.54
V 0.4214 0.1221 0.4883  5 S 2.36-2.55
V 0.4553 0.7629 0.5990  5 S 2.34-2.58
V 0.5048 0.0900 0.7944  5 S 2.32-2.49
V 0.5424 0.6459 0.0673  6 S 2.37-2.60
V 0.5569 0.9522 0.0127  5 S 2.34-2.47
V 0.6140 0.5587 0.8264  4 S 2.29-2.38
V 0.6518 0.0905 0.3195  6 S 2.38-2.60, 1 V 2.65
V 0.7558 0.3637 0.5664  5 S 2.35-2.52
V 0.7927 0.3443 0.2800  5 S 2.34-2.48, 1 V 2.49
V 0.7982 0.9186 0.5809  5 S 2.34-2.48, 1 V 2.57
V 0.8129 0.2567 0.7806  5 S 2.32-2.48
V 0.8308 0.3140 0.0790  6 S 2.38-2.61, 2 V 2.49-2.63
V 0.8344 0.7980 0.7714  6 S 2.35-2.57, 1 V 2.62
V 0.9945 0.5569 0.0472  6 S 2.37-2.56, 1 V 2.63
S 0.0070 0.7846 0.6342  5 V 2.40-2.59
S 0.0240 0.7043 0.8862  4 V 2.39-2.46
S 0.0362 0.4198 0.2206  5 V 2.41-2.53
S 0.1156 0.3683 0.9813  3 V 2.35-2.54
S 0.1272 0.7578 0.1605  4 V 2.32-2.47
S 0.2031 0.2458 0.4821  4 V 2.32-2.55
S 0.2190 0.1629 0.1856  4 V 2.32-2.42
S 0.2617 0.6121 0.4301  4 V 2.44-2.63
S 0.3009 0.9620 0.3401  4 V 2.36-2.44
S 0.3016 0.6262 0.7149  4 V 2.36-2.47
S 0.3159 0.9758 0.6409  5 V 2.49-2.58
S 0.3490 0.7768 0.9840  5 V 2.34-2.54
S 0.3501 0.0813 0.9463  4 V 2.43-2.69
S 0.3997 0.5170 0.1958  4 V 2.31-2.40
S 0.4450 0.4530 0.9350  4 V 2.29-2.41
S 0.5568 0.8754 0.1981  5 V 2.38-2.60
S 0.5657 0.3061 0.3978  4 V 2.41-2.64
S 0.5759 0.9353 0.4717  4 V 2.34-2.52
S 0.5798 0.2847 0.6897  3 V 2.34-2.38
S 0.5917 0.2253 0.1464  4 V 2.43-2.54
S 0.6299 0.9156 0.7201  4 V 2.32-2.40
S 0.6717 0.6177 0.6445  3 V 2.38-2.58
S 0.6931 0.7729 0.9424  4 V 2.38-2.55
S 0.7251 0.1290 0.9333  4 V 2.40-2.46
S 0.7705 0.5476 0.1580  4 V 2.48-2.56
S 0.7976 0.4444 0.9159  4 V 2.32-2.38
S 0.8427 0.1461 0.4968  4 V 2.42-2.60
S 0.8680 0.1228 0.2262  4 V 2.37-2.61
S 0.8870 0.4978 0.4365  4 V 2.31-2.44
S 0.9489 0.0540 0.7364  4 V 2.41-2.57
S 0.9614 0.8752 0.3986  3 V 2.35-2.48
S 0.9726 0.4143 0.6926  3 V 2.32-2.35


Looking at formation energy for the records above, in order, we have -46.2; -43.0; -19.1; -167.5; -116.4; -90.2; -88.1; -85.7 kJ per mole of atoms.